# CeGaCo, optimized geometry, DFT PBE
data_CeGaCo
_cell_length_a 10.871
_cell_length_b 4.356
_cell_length_c 4.743
_cell_angle_alpha 90.00
_cell_angle_beta 100.17
_cell_angle_gamma 90.00
_space_group_name_H-M_alt 'C 1 2/m 1'
_space_group_IT_number 12
_space_group_name_Hall '-C 2y'
loop_
_atom_site_label
_atom_site_type_symbol
_atom_site_fract_x
_atom_site_fract_y
_atom_site_fract_z
_atom_site_occupancy
Ce1 Ce 0.127 0.000 0.314 1
Ga1 Ga 0.087 0.500 0.809 1
Co1 Co 0.195 0.000 0.862 1
# calculated total energy	-71.0	eV for the cell shown
# energy of formation from the pure elements	-1.68	eV per formula unit